A plane-wave DFT calculation with r2SCAN was carried out for crystalline TbYbPd2 at its relaxed geometry.

Cell lengths 4.900, 4.900, 4.900 Å; angles 60.00, 60.00, 60.00 degrees
Positions (direct):
Tb1 0.500 0.500 0.500
Pd1 0.250 0.250 0.250
Pd2 0.750 0.750 0.750
Yb1 0.000 0.000 0.000

Output
The formation energy from the elements is -0.950 eV/atom. The space group is Fm-3m (225).

=====

A plane-wave DFT calculation with r2SCAN was carried out for crystalline Te4Pd9 at its relaxed geometry.

Cell lengths 7.520, 8.964, 14.092 Å; angles 90.00, 90.00, 91.60 degrees
Positions (direct):
Te1 0.753 0.853 0.996
Te2 0.538 0.066 0.252
Te3 0.047 0.358 0.263
Te4 0.462 0.934 0.748
Te5 0.538 0.566 0.248
Te6 0.247 0.147 0.004
Te7 0.753 0.353 0.504
Te8 0.247 0.647 0.496
Te9 0.705 0.387 0.005
Te10 0.047 0.858 0.237
Te11 0.705 0.887 0.495
Te12 0.295 0.613 0.995
Te13 0.462 0.434 0.752
Te14 0.953 0.642 0.737
Te15 0.295 0.113 0.505
Te16 0.953 0.142 0.763
Pd1 0.011 0.391 0.651
Pd2 0.831 0.138 0.359
Pd3 0.011 0.891 0.849
Pd4 0.584 0.106 0.065
Pd5 0.989 0.109 0.151
Pd6 0.416 0.394 0.565
Pd7 0.345 0.798 0.329
Pd8 0.169 0.862 0.641
Pd9 0.276 0.176 0.694
Pd10 0.890 0.142 0.952
Pd11 0.959 0.613 0.938
Pd12 0.890 0.642 0.548
Pd13 0.501 0.307 0.369
Pd14 0.793 0.395 0.822
Pd15 0.655 0.702 0.829
Pd16 0.724 0.324 0.194
Pd17 0.169 0.362 0.859
Pd18 0.041 0.387 0.062
Pd19 0.499 0.693 0.631
Pd20 0.501 0.807 0.131
Pd21 0.959 0.113 0.562
Pd22 0.499 0.193 0.869
Pd23 0.207 0.605 0.178
Pd24 0.724 0.824 0.306
Pd25 0.584 0.606 0.435
Pd26 0.041 0.887 0.438
Pd27 0.110 0.858 0.048
Pd28 0.989 0.609 0.349
Pd29 0.345 0.298 0.171
Pd30 0.276 0.676 0.806
Pd31 0.207 0.105 0.322
Pd32 0.655 0.202 0.671
Pd33 0.793 0.895 0.678
Pd34 0.110 0.358 0.452
Pd35 0.831 0.638 0.141
Pd36 0.416 0.894 0.935

Output
The formation energy from the elements is -0.315 eV/atom. The space group is P2_1/c (14).

=====

A plane-wave DFT calculation with r2SCAN was carried out for crystalline Te7Pd20 at its relaxed geometry.

Cell lengths 7.857, 7.857, 7.857 Å; angles 99.00, 99.00, 99.00 degrees
Positions (direct):
Pd1 0.988 0.780 0.671
Pd2 0.780 0.671 0.988
Pd3 0.317 0.777 0.543
Pd4 0.223 0.457 0.683
Pd5 0.683 0.223 0.457
Pd6 0.457 0.683 0.223
Pd7 0.012 0.856 0.317
Pd8 0.380 0.380 0.380
Pd9 0.683 0.988 0.144
Pd10 0.543 0.317 0.777
Pd11 0.317 0.012 0.856
Pd12 0.220 0.329 0.012
Pd13 0.012 0.220 0.329
Pd14 0.671 0.988 0.780
Pd15 0.620 0.620 0.620
Pd16 0.329 0.012 0.220
Pd17 0.777 0.543 0.317
Pd18 0.856 0.317 0.012
Pd19 0.988 0.144 0.683
Pd20 0.144 0.683 0.988
Te1 0.277 0.119 0.546
Te2 0.723 0.881 0.454
Te3 0.881 0.454 0.723
Te4 0.546 0.277 0.119
Te5 0.454 0.723 0.881
Te6 0.119 0.546 0.277
Te7 0.000 0.000 0.000

Output
The formation energy from the elements is -0.280 eV/atom. The space group is R-3 (148).